i.
Density functional theory data (PBE with a Hubbard U) for crystalline Li4V3P8O29 at its relaxed geometry.

a b c (Å): 9.7627 9.7722 14.1093
angles (deg): 89.93 89.82 60.16
Element x y z (fractional)
Li 0.0000 0.0000 0.0000
Li 0.0111 0.5756 0.5051
Li 0.0893 0.6828 0.8828
Li 0.1044 0.8180 0.3891
Li 0.4463 0.0083 0.5055
Li 0.5513 0.8225 0.8873
Li 0.6799 0.2352 0.8853
Li 0.7535 0.9608 0.4492
V 0.2109 0.4734 0.6973
V 0.2140 0.9101 0.1962
V 0.3452 0.9098 0.6949
V 0.3463 0.3444 0.1928
V 0.7757 0.4764 0.1998
V 0.7796 0.3440 0.6875
P 0.0054 0.5961 0.2840
P 0.0056 0.0009 0.7831
P 0.0929 0.8201 0.6029
P 0.0949 0.6822 0.1010
P 0.1081 0.2443 0.0777
P 0.1116 0.2440 0.5727
P 0.4397 0.5778 0.3143
P 0.4463 0.5753 0.8140
P 0.4614 0.1399 0.7890
P 0.4641 0.0008 0.2857
P 0.5512 0.2188 0.6043
P 0.5522 0.8180 0.1053
P 0.6912 0.2270 0.1037
P 0.6950 0.6863 0.6024
P 0.8596 0.5943 0.7885
P 0.8615 0.1310 0.2879
O 0.0048 0.6821 0.3723
O 0.0061 0.8930 0.5132
O 0.0175 0.9121 0.8729
O 0.0220 0.6772 0.0102
O 0.0284 0.5719 0.7865
O 0.0372 0.9927 0.2828
O 0.0995 0.3989 0.6127
O 0.1023 0.2392 0.9730
O 0.1019 0.2464 0.4675
O 0.1120 0.0904 0.1203
O 0.1163 0.8304 0.1068
O 0.1189 0.6499 0.6115
O 0.1563 0.0111 0.7649
O 0.1611 0.4392 0.2703
O 0.2487 0.8196 0.6164
O 0.2531 0.2502 0.1203
O 0.2540 0.5304 0.1213
O 0.2652 0.0986 0.6115
O 0.2852 0.7276 0.2727
O 0.2918 0.5811 0.7761
O 0.2998 0.2907 0.7683
O 0.3056 0.0008 0.2707
O 0.3945 0.3729 0.6130
O 0.3977 0.8114 0.1275
O 0.4267 0.5851 0.4191
O 0.4323 0.1716 0.2751
O 0.4378 0.9941 0.7867
O 0.4422 0.4302 0.2680
O 0.4492 0.7251 0.7741
O 0.4529 0.5699 0.9197
O 0.5221 0.2518 0.1095
O 0.5225 0.8263 0.6047
O 0.5383 0.8985 0.0143
O 0.5414 0.1524 0.8746
O 0.5424 0.9286 0.3772
O 0.5703 0.1147 0.6972
O 0.5700 0.1157 0.5214
O 0.5716 0.9104 0.1949
O 0.5874 0.5797 0.2717
O 0.5932 0.4260 0.7686
O 0.6833 0.3863 0.1241
O 0.6914 0.2523 0.6113
O 0.6932 0.5278 0.6140
O 0.6945 0.6495 0.1152
O 0.7680 0.6737 0.8747
O 0.7742 0.7052 0.6971
O 0.7754 0.1543 0.0128
O 0.7812 0.1089 0.3705
O 0.7845 0.6935 0.5185
O 0.7863 0.1104 0.1897
O 0.8556 0.2919 0.2774
O 0.8575 0.1672 0.7830
O 0.8639 0.5663 0.2807
O 0.8682 0.4345 0.7654
O 0.9595 0.3845 0.1267
O 0.9645 0.2383 0.6203
O 0.9833 0.9112 0.6941
O 0.9836 0.7035 0.1917

ii.
Density functional theory data (PBE with a Hubbard U) for crystalline Li4V3P8O29 at its relaxed geometry.

a b c (Å): 9.7822 9.7865 14.0855
angles (deg): 89.77 89.81 60.02
Element x y z (fractional)
Li 0.0000 0.0000 0.0000
Li 0.0028 0.8592 0.5035
Li 0.3618 0.1829 0.1186
Li 0.4534 0.4170 0.9986
Li 0.5854 0.4092 0.5072
Li 0.5911 0.8632 0.9987
Li 0.7680 0.7728 0.6251
Li 0.9067 0.1874 0.6258
V 0.1126 0.6545 0.3069
V 0.1153 0.0903 0.8092
V 0.2484 0.5195 0.8081
V 0.2509 0.0856 0.3188
V 0.6789 0.6598 0.8147
V 0.6832 0.5241 0.3071
P 0.9997 0.8578 0.7189
P 0.0009 0.0030 0.2195
P 0.0111 0.4279 0.6887
P 0.0183 0.4191 0.1909
P 0.3445 0.7559 0.9339
P 0.3471 0.7521 0.4323
P 0.3614 0.1782 0.9027
P 0.3649 0.3205 0.4028
P 0.4519 0.0064 0.7189
P 0.4515 0.4078 0.2195
P 0.5924 0.8633 0.2203
P 0.5928 0.4113 0.7201
P 0.7680 0.3196 0.9015
P 0.7694 0.7717 0.4035
P 0.9089 0.1793 0.4018
P 0.9128 0.7740 0.9033
O 0.0068 0.2782 0.7264
O 0.0157 0.0068 0.7186
O 0.0162 0.5698 0.2367
O 0.0174 0.4253 0.0860
O 0.0182 0.4296 0.5830
O 0.0258 0.8336 0.2308
O 0.0612 0.1895 0.3852
O 0.0644 0.6133 0.8840
O 0.1598 0.9965 0.2421
O 0.1620 0.4251 0.7369
O 0.1620 0.7081 0.7380
O 0.1680 0.2714 0.2319
O 0.1923 0.9026 0.8946
O 0.1951 0.7578 0.3913
O 0.2003 0.1936 0.8860
O 0.2048 0.4735 0.3840
O 0.2994 0.5695 0.2381
O 0.2992 0.9958 0.7394
O 0.3365 0.1779 0.3963
O 0.3446 0.7569 0.5375
O 0.3456 0.3453 0.9003
O 0.3475 0.7467 0.0401
O 0.3476 0.9038 0.3877
O 0.3509 0.6024 0.8905
O 0.4237 0.0100 0.2262
O 0.4258 0.4294 0.7276
O 0.4399 0.0948 0.9939
O 0.4402 0.3355 0.1291
O 0.4479 0.0913 0.6320
O 0.4508 0.3262 0.4869
O 0.4695 0.2954 0.3070
O 0.4745 0.0856 0.8154
O 0.4929 0.7647 0.8964
O 0.4982 0.6039 0.3910
O 0.5797 0.5712 0.7365
O 0.5824 0.7099 0.2402
O 0.5957 0.4321 0.2276
O 0.5971 0.8354 0.7259
O 0.6709 0.8548 0.1290
O 0.6749 0.3262 0.9864
O 0.6766 0.3325 0.6294
O 0.6808 0.8808 0.3118
O 0.6894 0.2953 0.8062
O 0.6912 0.8424 0.4945
O 0.7621 0.3469 0.4005
O 0.7656 0.7539 0.9041
O 0.7771 0.6115 0.3814
O 0.7782 0.4713 0.8845
O 0.8664 0.4234 0.2358
O 0.8665 0.5806 0.7286
O 0.8877 0.8771 0.8066
O 0.8887 0.0936 0.3103
O 0.9204 0.0911 0.4913
O 0.9219 0.8595 0.9872
O 0.9267 0.8438 0.6283
O 0.9294 0.0802 0.1287
O 0.9366 0.1735 0.8993
O 0.9382 0.7505 0.3975

i comes first in stability; the runner-up is 5 meV per atom higher.

i.
Density functional theory data (PBE with a Hubbard U) for crystalline Li7MgNi7O16 at its relaxed geometry.

a b c (Å): 5.0209 5.7445 9.8346
angles (deg): 105.89 100.89 90.08
Element x y z (fractional)
Li 0.0000 0.0000 0.0000
Li 0.2379 0.3788 0.2484
Li 0.2476 0.8655 0.2429
Li 0.4968 0.7477 0.5014
Li 0.5032 0.2523 0.4986
Li 0.7524 0.1345 0.7571
Li 0.7621 0.6212 0.7516
Mg 0.0000 0.0000 0.5000
Ni 0.0000 0.5000 0.5000
Ni 0.2535 0.3719 0.7509
Ni 0.2640 0.8668 0.7488
Ni 0.4931 0.2490 0.9996
Ni 0.5069 0.7510 0.0004
Ni 0.7360 0.1332 0.2512
Ni 0.7465 0.6281 0.2491
O 0.0801 0.2014 0.3721
O 0.0868 0.6747 0.3727
O 0.1547 0.1513 0.8644
O 0.1656 0.6929 0.8666
O 0.3694 0.0556 0.6353
O 0.3732 0.5797 0.6348
O 0.4009 0.0803 0.1243
O 0.4159 0.5824 0.1248
O 0.5841 0.4176 0.8752
O 0.5991 0.9197 0.8757
O 0.6268 0.4203 0.3652
O 0.6306 0.9444 0.3647
O 0.8344 0.3071 0.1334
O 0.8453 0.8487 0.1356
O 0.9132 0.3253 0.6273
O 0.9199 0.7986 0.6279

ii.
Density functional theory data (PBE with a Hubbard U) for crystalline Li7MgNi7O16 at its relaxed geometry.

a b c (Å): 7.5774 7.5774 4.9962
angles (deg): 102.61 102.61 98.37
Element x y z (fractional)
Li 0.0000 0.0000 0.0000
Li 0.1393 0.3773 0.0275
Li 0.3815 0.1235 0.9990
Li 0.4985 0.5015 0.0000
Li 0.6227 0.8607 0.9725
Li 0.7573 0.2427 0.0000
Li 0.8765 0.6185 0.0010
Mg 0.2613 0.7387 0.0000
Ni 0.0105 0.4972 0.5010
Ni 0.1295 0.8705 0.5000
Ni 0.2576 0.2511 0.4980
Ni 0.5028 0.9895 0.4990
Ni 0.6303 0.3697 0.5000
Ni 0.7489 0.7424 0.5020
Ni 0.8780 0.1220 0.5000
O 0.0154 0.7483 0.7262
O 0.0164 0.2563 0.2652
O 0.1147 0.6440 0.2609
O 0.1233 0.1151 0.7089
O 0.2291 0.4859 0.7498
O 0.2517 0.9846 0.2738
O 0.3560 0.8853 0.7391
O 0.3938 0.3534 0.2732
O 0.5058 0.2405 0.7133
O 0.5141 0.7709 0.2502
O 0.6412 0.1371 0.2818
O 0.6466 0.6062 0.7268
O 0.7437 0.9836 0.7348
O 0.7595 0.4942 0.2867
O 0.8629 0.3588 0.7182
O 0.8849 0.8767 0.2911

i comes first in stability; the runner-up is 40 meV per atom higher.